A relaxed structure of Li3CoPCO7, computed with GGA+U.

The structure in CIF format:
```
data_Li3CoPCO7
_chemical_formula_sum 'Li12 Co4 P4 C4 O28'
_cell_length_a 9.448
_cell_length_b 6.391
_cell_length_c 9.848
_cell_angle_alpha 90.00
_cell_angle_beta 116.31
_cell_angle_gamma 90.00
_space_group_name_H-M_alt 'P 1 21/c 1'
_space_group_IT_number 14
loop_
_space_group_symop_operation_xyz
'x,y,z'
'-x,-y,-z'
'-x,y+1/2,-z+1/2'
'x,-y+1/2,z+1/2'
loop_
_atom_site_label
_atom_site_type_symbol
_atom_site_fract_x
_atom_site_fract_y
_atom_site_fract_z
Li1 Li 0.098 0.249 0.181
Li2 Li 0.279 0.013 0.508
Li3 Li 0.347 0.747 0.813
Co1 Co 0.276 0.006 0.011
P1 P 0.409 0.248 0.314
C1 C 0.038 0.741 0.622
O1 O 0.069 0.748 0.261
O2 O 0.111 0.237 0.985
O3 O 0.149 0.738 0.577
O4 O 0.310 0.059 0.821
O5 O 0.314 0.057 0.322
O6 O 0.421 0.248 0.161
O7 O 0.421 0.745 0.554
```

Properties
- calculated total energy (eV per atom) = -6.55
- polymorph energy (0 for the lowest one) (meV/atom) = 33
- V (A^3/atom) = 10.25